WO3 (PBE with a Hubbard U, relaxed); SG = P4/ncc, No. 130; total DFT energy (no corrections) = -120.17 eV per cell
1.0
5.4074 0.0000 0.0000
0.0000 5.4074 0.0000
0.0000 0.0000 7.8178
W O
4 12
Cartesian
1.3518 1.3518 1.8003
1.3518 1.3518 5.7092
4.0555 4.0555 2.1086
4.0555 4.0555 6.0175
0.1593 2.8630 1.9545
0.1593 5.2481 5.8634
1.3518 1.3518 3.8733
1.3518 1.3518 7.7822
2.5444 2.8630 5.8634
2.5444 5.2481 1.9545
2.8630 0.1593 5.8634
2.8630 2.5444 1.9545
4.0555 4.0555 0.0356
4.0555 4.0555 3.9446
5.2481 0.1593 1.9545
5.2481 2.5444 5.8634